Entry 1:
The following is a DFT calculation (GGA+U) of a relaxed structure of Li2CoSiO4.

Computed properties:
Energy of formation from the pure elements = -19.90 eV per formula unit
ΔE to the lowest computed polymorph = 0.0266 eV per atom

Cell lengths 7.366, 7.664, 8.211 Å; angles 117.82, 116.01, 90.00 degrees
Positions (direct):
Li 0.750 0.573 0.500
Li 0.250 0.073 0.500
Li 0.750 0.926 0.500
Li 0.250 0.426 0.500
Li 0.050 0.369 0.737
Li 0.550 0.869 0.737
Li 0.450 0.131 0.263
Li 0.950 0.631 0.263
Co 0.500 0.688 0.000
Co 0.000 0.812 0.000
Co 0.000 0.188 0.000
Co 0.500 0.312 0.000
Si 0.806 0.128 0.257
Si 0.306 0.629 0.257
Si 0.694 0.371 0.743
Si 0.194 0.871 0.743
O 0.821 0.016 0.033
O 0.322 0.516 0.033
O 0.678 0.484 0.967
O 0.178 0.984 0.967
O 0.037 0.232 0.464
O 0.537 0.732 0.464
O 0.463 0.268 0.536
O 0.963 0.768 0.536
O 0.664 0.295 0.250
O 0.164 0.795 0.250
O 0.836 0.545 0.750
O 0.336 0.045 0.750
O 0.664 0.955 0.250
O 0.164 0.455 0.250
O 0.836 0.205 0.750
O 0.336 0.705 0.750

Entry 2:
The following is a DFT calculation (GGA+U) of a relaxed structure of Eu6Mo10O39.

Computed properties:
Space group = No. 15
Energy of formation from the pure elements = -129.01 eV per formula unit

Cell lengths 11.988, 11.988, 14.270 Å; angles 96.27, 96.27, 116.26 degrees
Positions (direct):
Eu 0.021 0.139 0.085
Eu 0.139 0.021 0.585
Eu 0.211 0.530 0.857
Eu 0.259 0.559 0.413
Eu 0.441 0.741 0.087
Eu 0.470 0.789 0.643
Eu 0.530 0.211 0.357
Eu 0.559 0.259 0.913
Eu 0.741 0.441 0.587
Eu 0.789 0.470 0.143
Eu 0.861 0.979 0.415
Eu 0.979 0.861 0.915
Mo 0.067 0.759 0.338
Mo 0.117 0.681 0.638
Mo 0.119 0.497 0.118
Mo 0.184 0.187 0.361
Mo 0.187 0.184 0.861
Mo 0.241 0.933 0.162
Mo 0.319 0.883 0.862
Mo 0.393 0.437 0.636
Mo 0.437 0.393 0.136
Mo 0.497 0.119 0.618
Mo 0.503 0.881 0.382
Mo 0.563 0.607 0.864
Mo 0.607 0.563 0.364
Mo 0.681 0.117 0.138
Mo 0.759 0.067 0.838
Mo 0.813 0.816 0.139
Mo 0.816 0.813 0.639
Mo 0.881 0.503 0.882
Mo 0.883 0.319 0.362
Mo 0.933 0.241 0.662
O 0.006 0.556 0.121
O 0.033 0.331 0.076
O 0.035 0.441 0.418
O 0.059 0.844 0.444
O 0.082 0.372 0.706
O 0.083 0.084 0.936
O 0.084 0.083 0.436
O 0.108 0.827 0.643
O 0.117 0.131 0.236
O 0.128 0.872 0.250
O 0.131 0.117 0.736
O 0.143 0.645 0.757
O 0.156 0.941 0.056
O 0.173 0.892 0.857
O 0.178 0.703 0.367
O 0.188 0.333 0.885
O 0.204 0.524 0.235
O 0.207 0.344 0.388
O 0.227 0.567 0.035
O 0.234 0.673 0.571
O 0.278 0.279 0.095
O 0.279 0.278 0.595
O 0.297 0.822 0.133
O 0.327 0.766 0.929
O 0.331 0.033 0.576
O 0.333 0.188 0.385
O 0.344 0.207 0.888
O 0.355 0.477 0.759
O 0.355 0.857 0.743
O 0.372 0.082 0.206
O 0.372 0.539 0.558
O 0.433 0.773 0.465
O 0.439 0.541 0.136
O 0.441 0.035 0.918
O 0.444 0.994 0.379
O 0.459 0.561 0.364
O 0.461 0.628 0.942
O 0.476 0.796 0.265
O 0.477 0.355 0.259
O 0.523 0.645 0.741
O 0.524 0.204 0.735
O 0.539 0.372 0.058
O 0.541 0.439 0.636
O 0.556 0.006 0.621
O 0.559 0.965 0.082
O 0.561 0.459 0.864
O 0.567 0.227 0.535
O 0.628 0.461 0.442
O 0.628 0.918 0.794
O 0.645 0.143 0.257
O 0.645 0.523 0.241
O 0.656 0.793 0.112
O 0.667 0.812 0.615
O 0.669 0.967 0.424
O 0.673 0.234 0.071
O 0.703 0.178 0.867
O 0.721 0.722 0.405
O 0.722 0.721 0.905
O 0.766 0.327 0.429
O 0.773 0.433 0.965
O 0.793 0.656 0.612
O 0.796 0.476 0.765
O 0.812 0.667 0.115
O 0.822 0.297 0.633
O 0.827 0.108 0.143
O 0.844 0.059 0.944
O 0.857 0.355 0.243
O 0.869 0.883 0.264
O 0.872 0.128 0.750
O 0.883 0.869 0.764
O 0.892 0.173 0.357
O 0.916 0.917 0.564
O 0.917 0.916 0.064
O 0.918 0.628 0.294
O 0.941 0.156 0.556
O 0.965 0.559 0.582
O 0.967 0.669 0.924
O 0.994 0.444 0.879

Entry 3:
The following is a DFT calculation (GGA+U) of a relaxed structure of MnCoO3.

Computed properties:
Space group = No. 148
Energy of formation from the pure elements = -8.27 eV per formula unit

Cell lengths 5.459, 5.459, 5.459 Å; angles 54.63, 54.63, 54.63 degrees
Positions (direct):
Mn 0.158 0.158 0.158
Mn 0.842 0.842 0.842
Co 0.360 0.360 0.360
Co 0.640 0.640 0.640
O 0.050 0.776 0.440
O 0.224 0.560 0.950
O 0.440 0.050 0.776
O 0.560 0.950 0.224
O 0.776 0.440 0.050
O 0.950 0.224 0.560

Entry 4:
The following is a DFT calculation (GGA+U) of a relaxed structure of LiLa8V8O32.

Computed properties:
Space group = No. 1
Energy of formation from the pure elements = -152.69 eV per formula unit

Cell lengths 7.193, 7.372, 13.651 Å; angles 90.46, 104.38, 91.84 degrees
Positions (direct):
Li 0.000 0.000 0.000
La 0.005 0.371 0.934
La 0.267 0.543 0.686
La 0.269 0.817 0.110
La 0.478 0.043 0.841
La 0.515 0.352 0.438
La 0.730 0.853 0.590
La 0.773 0.537 0.187
La 0.973 0.043 0.336
V 0.003 0.535 0.444
V 0.242 0.032 0.580
V 0.247 0.344 0.192
V 0.502 0.861 0.341
V 0.505 0.532 0.943
V 0.721 0.036 0.084
V 0.752 0.366 0.693
V 0.990 0.863 0.827
O 0.001 0.976 0.524
O 0.033 0.714 0.931
O 0.071 0.803 0.723
O 0.108 0.526 0.137
O 0.112 0.059 0.881
O 0.179 0.292 0.302
O 0.192 0.174 0.096
O 0.239 0.477 0.500
O 0.265 0.908 0.282
O 0.282 0.201 0.675
O 0.317 0.095 0.474
O 0.361 0.350 0.885
O 0.384 0.853 0.636
O 0.434 0.576 0.054
O 0.460 0.698 0.850
O 0.479 0.967 0.021
O 0.484 0.411 0.248
O 0.537 0.694 0.432
O 0.582 0.801 0.235
O 0.607 0.542 0.638
O 0.643 0.047 0.397
O 0.677 0.303 0.799
O 0.710 0.196 0.600
O 0.745 0.488 0.999
O 0.751 0.909 0.772
O 0.782 0.116 0.967
O 0.783 0.205 0.186
O 0.855 0.353 0.386
O 0.900 0.862 0.128
O 0.926 0.593 0.550
O 0.966 0.700 0.349
O 0.992 0.427 0.753

Entry 5:
The following is a DFT calculation (GGA+U) of a relaxed structure of MgCr2O4.

Computed properties:
Space group = No. 8
Energy of formation from the pure elements = -17.17 eV per formula unit
ΔE to the lowest computed polymorph = 0.1809 eV per atom

Cell lengths 5.960, 5.960, 14.783 Å; angles 92.58, 92.58, 60.51 degrees
Positions (direct):
Mg 0.000 0.000 0.000
Mg 0.005 0.005 0.374
Mg 0.172 0.172 0.208
Mg 0.501 0.501 0.876
Mg 0.671 0.671 0.710
Mg 0.838 0.838 0.542
Cr 0.004 0.502 0.876
Cr 0.005 0.005 0.752
Cr 0.173 0.675 0.207
Cr 0.336 0.336 0.666
Cr 0.337 0.838 0.542
Cr 0.338 0.338 0.416
Cr 0.339 0.339 0.039
Cr 0.502 0.004 0.876
Cr 0.672 0.672 0.334
Cr 0.675 0.173 0.207
Cr 0.676 0.676 0.082
Cr 0.838 0.337 0.542
O 0.016 0.016 0.618
O 0.030 0.494 0.123
O 0.159 0.689 0.459
O 0.165 0.165 0.469
O 0.182 0.182 0.953
O 0.186 0.637 0.958
O 0.322 0.322 0.799
O 0.324 0.849 0.290
O 0.350 0.350 0.282
O 0.353 0.823 0.795
O 0.494 0.030 0.123
O 0.494 0.494 0.131
O 0.511 0.511 0.615
O 0.516 0.985 0.624
O 0.637 0.186 0.958
O 0.659 0.659 0.467
O 0.680 0.680 0.950
O 0.689 0.159 0.459
O 0.823 0.353 0.795
O 0.830 0.830 0.804
O 0.845 0.845 0.279
O 0.849 0.324 0.290
O 0.985 0.516 0.624
O 0.999 0.999 0.136

Entry 6:
The following is a DFT calculation (GGA+U) of a relaxed structure of NaLa2Mn3O9.

Computed properties:
Energy of formation from the pure elements = -38.77 eV per formula unit

Cell lengths 5.501, 8.725, 8.555 Å; angles 101.69, 108.64, 108.74 degrees
Positions (direct):
Na 0.333 0.417 0.250
Na 0.333 0.917 0.750
La 0.000 0.246 0.755
La 0.000 0.746 0.255
La 0.666 0.587 0.745
La 0.666 0.087 0.245
Mn 0.333 0.167 0.500
Mn 0.667 0.831 0.502
Mn 0.999 0.502 0.498
Mn 0.333 0.667 0.000
Mn 0.667 0.331 0.002
Mn 0.999 0.002 0.998
O 0.833 0.167 0.000
O 0.833 0.667 0.500
O 0.833 0.417 0.250
O 0.833 0.917 0.750
O 0.333 0.167 0.000
O 0.333 0.667 0.500
O 0.504 0.504 0.992
O 0.504 0.004 0.492
O 0.162 0.829 0.008
O 0.162 0.329 0.508
O 0.505 0.261 0.750
O 0.505 0.761 0.250
O 0.161 0.573 0.750
O 0.161 0.073 0.250
O 0.991 0.504 0.992
O 0.991 0.004 0.492
O 0.676 0.829 0.008
O 0.676 0.329 0.508